(1)
DFT (PBE-GGA) results for a geometry-optimized Na2Si5Ge8S7O48 structure.

Cell lengths 8.4654, 14.6549, 21.9995 Å; angles 90.22, 90.06, 90.12 degrees
Last column: nearest neighbours and their distance in Å.
Sites, in units of the cell vectors:
1 Na 0.0000 0.0000 0.0000  6 O 2.37-2.57
2 Na 0.9996 0.3378 0.3392  6 O 2.36-2.58
3 Na 0.4951 0.4972 0.5021  6 O 2.39-2.60
4 Na 0.4971 0.8373 0.8365  6 O 2.45-2.54
5 Na 0.5020 0.4995 0.0038  6 O 2.40-2.53
6 Na 0.9944 0.0009 0.5046  6 O 2.41-2.55
7 Si 0.1378 0.5241 0.4223  4 O 1.61-1.65
8 Si 0.1462 0.8595 0.7490  4 O 1.60-1.67
9 Si 0.1484 0.8127 0.4204  4 O 1.61-1.65
10 Si 0.2004 0.4999 0.7521  4 O 1.61-1.64
11 Si 0.2830 0.3341 0.5847  4 O 1.61-1.67
12 Si 0.2951 0.0009 0.2530  4 O 1.60-1.66
13 Si 0.3492 0.3137 0.9195  4 O 1.62-1.65
14 Si 0.3522 0.3585 0.2496  4 O 1.60-1.67
15 Si 0.3586 0.0253 0.9221  4 O 1.63-1.64
16 Si 0.6379 0.6923 0.0875  4 O 1.63-1.64
17 Si 0.6471 0.3094 0.4179  4 O 1.61-1.65
18 Si 0.7136 0.3307 0.0854  4 O 1.62-1.65
19 Si 0.7836 0.8304 0.5854  4 O 1.62-1.66
20 Si 0.8584 0.8099 0.9168  4 O 1.62-1.64
21 Si 0.8621 0.1930 0.5879  4 O 1.62-1.65
22 Ge 0.0012 0.6753 0.8082  4 O 1.75-1.96
23 Ge 0.0019 0.6748 0.5222  3 O 1.78-1.80
24 Ge 0.0066 0.0024 0.1543  3 O 1.74-1.95
25 Ge 0.0116 0.3324 0.6874  3 O 1.75-1.79
26 Ge 0.0130 0.6652 0.3220  2 O 1.75-1.76
27 Ge 0.0143 0.9944 0.3575  3 O 1.75-1.95
28 Ge 0.0187 0.9926 0.8581  3 O 1.75-1.81
29 Ge 0.4783 0.4904 0.3607  3 O 1.76-1.78
30 Ge 0.4808 0.4955 0.6499  2 O 1.76-1.77
31 Ge 0.4826 0.1659 0.8191  3 O 1.78-1.92
32 Ge 0.4847 0.4912 0.8534  3 O 1.73-1.91
33 Ge 0.4921 0.1754 0.3117  4 O 1.77-1.96
34 Ge 0.4962 0.1768 0.0206  3 O 1.76-1.80
35 Ge 0.4978 0.8351 0.6872  4 O 1.76-1.94
36 Ge 0.4990 0.8322 0.1923  4 O 1.76-1.96
37 Ge 0.5009 0.8374 0.4810  4 O 1.76-1.96
38 Ge 0.5111 0.4961 0.1466  4 O 1.77-1.96
39 Ge 0.5120 0.8330 0.9792  4 O 1.79-1.99
40 Ge 0.5134 0.1842 0.5301  3 O 1.74-1.76
41 Ge 0.9813 0.6746 0.0239  3 O 1.76-1.97
42 Ge 0.9881 0.9966 0.6454  3 O 1.78-1.80
43 Ge 0.9948 0.3360 0.9801  4 O 1.77-1.95
44 Ge 0.9974 0.3359 0.1886  2 O 1.76-1.78
45 Ge 0.9980 0.3354 0.4832  5 O 1.82-2.02
46 S 0.1416 0.1448 0.7532  4 O 1.46-1.51
47 S 0.1416 0.4818 0.0849  4 O 1.47-1.49
48 S 0.1441 0.1891 0.0864  4 O 1.46-1.53
49 S 0.2092 0.8338 0.0856  4 O 1.47-1.53
50 S 0.2118 0.1673 0.4202  4 O 1.46-1.52
51 S 0.2853 0.6671 0.9204  4 O 1.46-1.50
52 S 0.3538 0.6442 0.2530  4 O 1.48-1.50
53 S 0.3538 0.6896 0.5861  4 O 1.46-1.49
54 S 0.3564 0.9814 0.5852  4 O 1.44-1.50
55 S 0.6413 0.6430 0.7527  4 O 1.46-1.51
56 S 0.6424 0.0250 0.4187  4 O 1.47-1.52
57 S 0.6439 0.9811 0.0875  4 O 1.45-1.54
58 S 0.6456 0.3537 0.7531  4 O 1.44-1.52
59 S 0.7094 0.0048 0.7541  4 O 1.47-1.50
60 S 0.7091 0.6681 0.4185  4 O 1.48-1.50
61 S 0.7873 0.1681 0.9182  4 O 1.48-1.49
62 S 0.7879 0.5049 0.2543  4 O 1.47-1.51
63 S 0.8531 0.4817 0.5872  4 O 1.47-1.52
64 S 0.8537 0.1445 0.2539  4 O 1.45-1.52
65 S 0.8541 0.5240 0.9178  4 O 1.45-1.51
66 S 0.8546 0.8545 0.2538  4 O 1.47-1.52
67 O 0.0567 0.5627 0.3590  1 Si 1.65, 1 Ge 1.75
68 O 0.0600 0.7719 0.4792  1 Si 1.61, 1 Ge 1.78
69 O 0.0607 0.9126 0.4139  1 Si 1.65, 1 Ge 1.77
70 O 0.0617 0.9066 0.6914  1 Si 1.61, 1 Ge 1.78
71 O 0.0631 0.0964 0.0922  1 S 1.53
72 O 0.0637 0.4230 0.4273  1 Si 1.61
73 O 0.0662 0.1054 0.8094  1 S 1.51
74 O 0.0673 0.4428 0.1405  1 S 1.49
75 O 0.0678 0.2274 0.0316  1 S 1.48
76 O 0.0677 0.7614 0.7595  1 Si 1.60, 1 Ge 1.75
77 O 0.0691 0.5728 0.0767  1 S 1.48
78 O 0.0698 0.2353 0.7484  1 S 1.46
79 O 0.0910 0.4108 0.7422  1 Si 1.61, 1 Ge 1.79
80 O 0.0940 0.5887 0.7660  1 Si 1.61, 1 Ge 1.76
81 O 0.1024 0.9169 0.0925  1 S 1.53
82 O 0.1036 0.0852 0.4126  1 S 1.52
83 O 0.1121 0.2489 0.4239  1 S 1.47
84 O 0.1117 0.5892 0.4816  1 Si 1.63, 1 Ge 1.80
85 O 0.1123 0.7500 0.0795  1 S 1.48
86 O 0.1211 0.2452 0.1420  1 S 1.48
87 O 0.1209 0.7532 0.3581  1 Si 1.64, 1 Ge 1.76
88 O 0.1218 0.0877 0.6987  1 S 1.47
89 O 0.1228 0.4225 0.0304  1 S 1.49
90 O 0.1292 0.9202 0.8110  1 Si 1.63, 1 Ge 1.75
91 O 0.1571 0.3465 0.2411  1 Si 1.67, 1 Ge 1.78
92 O 0.1598 0.3242 0.9317  1 Si 1.63, 1 Ge 1.77
93 O 0.1667 0.0201 0.9145  1 Si 1.63, 1 Ge 1.81
94 O 0.1783 0.6544 0.2586  1 S 1.50
95 O 0.1790 0.3574 0.5251  1 Si 1.62
96 O 0.1796 0.9807 0.3104  1 Si 1.63, 1 Ge 1.75
97 O 0.1825 0.6796 0.5810  1 S 1.46
98 O 0.1834 0.9887 0.5922  1 S 1.48
99 O 0.1840 0.0221 0.1924  1 Si 1.66, 1 Ge 1.74
100 O 0.1866 0.3160 0.6464  1 Si 1.61, 1 Ge 1.75
101 O 0.1910 0.6481 0.9765  1 S 1.50
102 O 0.1916 0.6834 0.8655  1 S 1.46
103 O 0.3027 0.8187 0.1413  1 S 1.48
104 O 0.3029 0.8544 0.0312  1 S 1.47
105 O 0.3048 0.1467 0.4742  1 S 1.46
106 O 0.3046 0.1825 0.3637  1 S 1.49
107 O 0.3123 0.4810 0.8117  1 Si 1.64, 1 Ge 1.73
108 O 0.3138 0.4906 0.0920  1 S 1.47
109 O 0.3146 0.1787 0.0810  1 S 1.46
110 O 0.3162 0.5246 0.6945  1 Si 1.64, 1 Ge 1.76
111 O 0.3189 0.1531 0.7593  1 S 1.51
112 O 0.3306 0.5216 0.4143  1 Si 1.64, 1 Ge 1.78
113 O 0.3379 0.8240 0.4312  1 Si 1.63, 1 Ge 1.77
114 O 0.3407 0.8464 0.7415  1 Si 1.67, 1 Ge 1.80
115 O 0.3691 0.4215 0.3102  1 Si 1.63, 1 Ge 1.76
116 O 0.3726 0.9205 0.5306  1 S 1.50
117 O 0.3743 0.7466 0.6420  1 S 1.49
118 O 0.3758 0.5885 0.1975  1 S 1.48
119 O 0.3770 0.2520 0.8589  1 Si 1.62, 1 Ge 1.78
120 O 0.3828 0.7512 0.9264  1 S 1.49
121 O 0.3864 0.0880 0.9827  1 Si 1.63, 1 Ge 1.80
122 O 0.3869 0.2424 0.5786  1 Si 1.61, 1 Ge 1.74
123 O 0.3926 0.5870 0.9142  1 S 1.49
124 O 0.4002 0.9097 0.2399  1 Si 1.63, 1 Ge 1.76
125 O 0.4024 0.4241 0.5920  1 Si 1.67, 1 Ge 1.77
126 O 0.4049 0.0881 0.2654  1 Si 1.60, 1 Ge 1.79
127 O 0.4252 0.7370 0.2460  1 S 1.50
128 O 0.4294 0.2601 0.2596  1 Si 1.60, 1 Ge 1.77
129 O 0.4288 0.7290 0.5313  1 S 1.48
130 O 0.4289 0.9218 0.9315  1 Si 1.64, 1 Ge 1.82
131 O 0.4292 0.9409 0.6412  1 S 1.50
132 O 0.4298 0.0693 0.5768  1 S 1.44
133 O 0.4313 0.6071 0.3079  1 S 1.48
134 O 0.4344 0.4057 0.1910  1 Si 1.62, 1 Ge 1.77
135 O 0.4348 0.5998 0.5925  1 S 1.49
136 O 0.4359 0.2735 0.9792  1 Si 1.62, 1 Ge 1.76
137 O 0.4369 0.4142 0.9136  1 Si 1.65, 1 Ge 1.79
138 O 0.4421 0.0633 0.8599  1 Si 1.64, 1 Ge 1.79
139 O 0.5533 0.7368 0.0272  1 Si 1.64, 1 Ge 1.80
140 O 0.5548 0.2699 0.4767  1 Si 1.62, 1 Ge 1.76
141 O 0.5567 0.5920 0.0971  1 Si 1.64, 1 Ge 1.82
142 O 0.5669 0.6040 0.8093  1 S 1.51
143 O 0.5676 0.3950 0.6987  1 S 1.50
144 O 0.5676 0.7352 0.7478  1 S 1.49
145 O 0.5686 0.2634 0.7614  1 S 1.49
146 O 0.5695 0.0623 0.3633  1 S 1.47
147 O 0.5714 0.9409 0.1422  1 S 1.48
148 O 0.5725 0.9321 0.4252  1 S 1.49
149 O 0.5726 0.4127 0.4109  1 Si 1.65, 1 Ge 1.78
150 O 0.5746 0.0704 0.0794  1 S 1.45
151 O 0.6053 0.2401 0.0765  1 Si 1.62, 1 Ge 1.79
152 O 0.6052 0.4221 0.0916  1 Si 1.63, 1 Ge 1.81
153 O 0.6089 0.0874 0.7608  1 S 1.49
154 O 0.6087 0.9208 0.7476  1 S 1.50
155 O 0.6095 0.5862 0.4100  1 S 1.48
156 O 0.6098 0.7502 0.4257  1 S 1.48
157 O 0.6144 0.7578 0.1474  1 Si 1.64, 1 Ge 1.77
158 O 0.6194 0.2447 0.3579  1 Si 1.64, 1 Ge 1.79
159 O 0.6187 0.5871 0.6969  1 S 1.49
160 O 0.6209 0.0792 0.4743  1 S 1.47
161 O 0.6252 0.4144 0.8090  1 S 1.52
162 O 0.6281 0.9230 0.0321  1 S 1.49
163 O 0.6681 0.8194 0.9253  1 Si 1.63, 1 Ge 1.79
164 O 0.6726 0.8525 0.5255  1 Si 1.65, 1 Ge 1.76
165 O 0.6740 0.8156 0.6469  1 Si 1.66, 1 Ge 1.76
166 O 0.6748 0.1737 0.5785  1 Si 1.62, 1 Ge 1.74
167 O 0.6759 0.4918 0.5953  1 S 1.52
168 O 0.6783 0.5161 0.9119  1 S 1.50
169 O 0.6818 0.8484 0.2464  1 S 1.47
170 O 0.6836 0.1519 0.2586  1 S 1.45
171 O 0.6915 0.1870 0.8632  1 S 1.48
172 O 0.6907 0.4865 0.3083  1 S 1.47
173 O 0.6943 0.1484 0.9742  1 S 1.49
174 O 0.6959 0.5215 0.1977  1 S 1.49
175 O 0.8016 0.0213 0.6985  1 S 1.47
176 O 0.8028 0.6485 0.4736  1 S 1.48
177 O 0.8055 0.6874 0.3625  1 S 1.50
178 O 0.8065 0.9863 0.8092  1 S 1.49
179 O 0.8124 0.6517 0.7589  1 S 1.46
180 O 0.8148 0.3474 0.7468  1 S 1.44
181 O 0.8200 0.0159 0.4109  1 S 1.52
182 O 0.8236 0.3157 0.1466  1 Si 1.65, 1 Ge 1.76
183 O 0.8252 0.3525 0.0257  1 Si 1.65, 1 Ge 1.77
184 O 0.8247 0.9886 0.0948  1 S 1.54
185 O 0.8278 0.6784 0.0781  1 Si 1.63, 1 Ge 1.77
186 O 0.8351 0.3201 0.4272  1 Si 1.61
187 O 0.8660 0.4243 0.5317  1 S 1.48
188 O 0.8733 0.9151 0.3077  1 S 1.49
189 O 0.8753 0.0879 0.1963  1 S 1.52
190 O 0.8754 0.5792 0.9754  1 S 1.51
191 O 0.8782 0.2569 0.6489  1 Si 1.64, 1 Ge 1.79
192 O 0.8815 0.7429 0.8588  1 Si 1.62, 1 Ge 1.80
193 O 0.8873 0.2503 0.9261  1 S 1.48
194 O 0.8879 0.0864 0.9110  1 S 1.48
195 O 0.8882 0.4208 0.2470  1 S 1.51
196 O 0.8889 0.5876 0.2601  1 S 1.49
197 O 0.8915 0.7404 0.5765  1 Si 1.62, 1 Ge 1.79
198 O 0.8922 0.9216 0.5917  1 Si 1.62, 1 Ge 1.80
199 O 0.9255 0.4327 0.9260  1 S 1.48
200 O 0.9247 0.4425 0.6422  1 S 1.47
201 O 0.9256 0.5718 0.5789  1 S 1.47
202 O 0.9267 0.7641 0.2603  1 S 1.47
203 O 0.9270 0.9138 0.9109  1 Si 1.63, 1 Ge 1.81
204 O 0.9285 0.5628 0.8644  1 S 1.45
205 O 0.9292 0.8950 0.1971  1 S 1.52
206 O 0.9300 0.2355 0.2472  1 S 1.49
207 O 0.9307 0.1041 0.3082  1 S 1.48
208 O 0.9398 0.2346 0.5264  1 Si 1.63
209 O 0.9425 0.0915 0.5975  1 Si 1.65, 1 Ge 1.79
210 O 0.9441 0.7713 0.9785  1 Si 1.64, 1 Ge 1.76

Output
- total energy (eV per atom) = -6.402

(2)
DFT (PBE-GGA) results for a geometry-optimized NaMg14Al structure.

Cell lengths 10.4235, 6.3570, 6.3570 Å; angles 60.27, 90.00, 90.00 degrees
Last column: nearest neighbours and their distance in Å.
Sites, in units of the cell vectors:
1 Na 0.0000 0.0000 0.0000  10 Mg 3.16-3.22, 2 Al 3.19
2 Mg 0.0000 0.0030 0.4962  8 Mg 3.15-3.24, 2 Al 3.15-3.21, 2 Na 3.16-3.19
3 Mg 0.0000 0.4962 0.0030  8 Mg 3.15-3.24, 2 Al 3.15-3.21, 2 Na 3.16-3.19
4 Mg 0.2458 0.6652 0.6652  11 Mg 3.15-3.23, 1 Al 3.16
5 Mg 0.2493 0.1716 0.6627  10 Mg 3.13-3.25, 1 Al 3.16, 1 Na 3.20
6 Mg 0.2493 0.6627 0.1716  10 Mg 3.13-3.25, 1 Al 3.16, 1 Na 3.20
7 Mg 0.2532 0.1682 0.1682  11 Mg 3.15-3.20, 1 Na 3.22
8 Mg 0.5000 0.9997 0.9997  12 Mg 3.17-3.21
9 Mg 0.5000 0.9998 0.5002  12 Mg 3.16-3.23
10 Mg 0.5000 0.5002 0.9998  12 Mg 3.16-3.23
11 Mg 0.5000 0.4999 0.4999  12 Mg 3.18-3.21
12 Mg 0.7468 0.1682 0.1682  11 Mg 3.15-3.20, 1 Na 3.22
13 Mg 0.7507 0.1716 0.6627  10 Mg 3.13-3.25, 1 Al 3.16, 1 Na 3.20
14 Mg 0.7507 0.6627 0.1716  10 Mg 3.13-3.25, 1 Al 3.16, 1 Na 3.20
15 Mg 0.7542 0.6652 0.6652  11 Mg 3.15-3.23, 1 Al 3.16
16 Al 0.0000 0.4976 0.4976  10 Mg 3.15-3.21, 2 Na 3.19

Output
- offset from the most stable computed form (eV per atom) = 0.0000
- total energy (eV per atom) = -1.690

(3)
DFT (PBE-GGA) results for a geometry-optimized NdI3O9 structure.

Cell lengths 6.8841, 8.2950, 6.6740 Å; angles 90.00, 90.00, 90.00 degrees
Last column: nearest neighbours and their distance in Å.
Sites, in units of the cell vectors:
1 Nd 0.2500 0.2500 0.1214  7 O 2.34-2.56
2 Nd 0.7500 0.7500 0.8786  7 O 2.34-2.56
3 I 0.2500 0.5456 0.6352  1 O 1.87
4 I 0.2500 0.7500 0.0929  4 O 1.93
5 I 0.2500 0.9544 0.6352  1 O 1.87
6 I 0.7500 0.0456 0.3648  1 O 1.87
7 I 0.7500 0.2500 0.9071  4 O 1.93
8 I 0.7500 0.4544 0.3648  1 O 1.87
9 O 0.0689 0.6077 0.9608  1 I 1.93, 1 O 2.09
10 O 0.0689 0.8923 0.9608  1 I 1.93, 1 O 2.09
11 O 0.0702 0.7500 0.5903  2 I 2.12
12 O 0.2500 0.0112 0.3640  1 I 1.87
13 O 0.2500 0.2500 0.7706  1 Nd 2.34, 2 I 2.61
14 O 0.2500 0.4888 0.3640  1 I 1.87
15 O 0.4298 0.7500 0.5903  2 I 2.12
16 O 0.4311 0.6077 0.9608  1 I 1.93, 1 O 2.09
17 O 0.4311 0.8923 0.9608  1 I 1.93, 1 O 2.09
18 O 0.5689 0.1077 0.0392  1 I 1.93, 1 O 2.09
19 O 0.5689 0.3923 0.0392  1 I 1.93, 1 O 2.09
20 O 0.5702 0.2500 0.4098  2 I 2.12
21 O 0.7500 0.5112 0.6360  1 I 1.87
22 O 0.7500 0.7500 0.2294  1 Nd 2.34, 2 I 2.61
23 O 0.7500 0.9888 0.6360  1 I 1.87
24 O 0.9298 0.2500 0.4098  2 I 2.12
25 O 0.9311 0.1077 0.0392  1 I 1.93, 1 O 2.09
26 O 0.9311 0.3923 0.0392  1 I 1.93, 1 O 2.09

Output
- offset from the most stable computed form (eV per atom) = 0.4954
- total energy (eV per atom) = -4.652

(4)
DFT (PBE-GGA) results for a geometry-optimized BaAl2 structure.

Cell lengths 6.0388, 6.0388, 6.0388 Å; angles 60.00, 60.00, 60.00 degrees
Last column: nearest neighbours and their distance in Å.
Sites, in units of the cell vectors:
1 Ba 0.1250 0.1250 0.1250  12 Al 3.54, 4 Ba 3.70
2 Ba 0.8750 0.8750 0.8750  12 Al 3.54, 4 Ba 3.70
3 Al 0.0000 0.5000 0.5000  6 Al 3.02
4 Al 0.5000 0.0000 0.5000  6 Al 3.02
5 Al 0.5000 0.5000 0.0000  6 Al 3.02
6 Al 0.5000 0.5000 0.5000  6 Al 3.02

Output
- total energy (eV per atom) = -3.336

Question: Which of these has the lowest total energy?
Answer: Na2Si5Ge8S7O48

Question: Which value of total energy does entry 4 give?
Answer: -3.336 eV per atom

Question: Which of these has the highest total energy?
Answer: NaMg14Al